(1)
Compound: ZrFeF6
Source: the Materials Project database
Functional: GGA+U
Structure: optimized geometry

Results
* formation enthalpy at 0 K: -3.4978 eV/atom
* symmetry: R-3 (148)

Lattice parameters (Å, degrees): 5.7745 5.7745 5.7745 58.67 58.67 58.67
Closest atoms and distances in Å follow each position.
Sites, in units of the cell vectors:
Zr (0.0000, 0.0000, 0.0000)  6 F 2.04
Fe (0.5000, 0.5000, 0.5000)  6 F 2.08
F (0.1743, 0.7534, 0.3209)  1 Zr 2.04, 1 Fe 2.08
F (0.2466, 0.6791, 0.8257)  1 Zr 2.04, 1 Fe 2.08
F (0.3209, 0.1743, 0.7534)  1 Zr 2.04, 1 Fe 2.08
F (0.6791, 0.8257, 0.2466)  1 Zr 2.04, 1 Fe 2.08
F (0.7534, 0.3210, 0.1743)  1 Zr 2.04, 1 Fe 2.08
F (0.8257, 0.2466, 0.6791)  1 Zr 2.04, 1 Fe 2.08


(2)
Compound: LiMnGaF6
Source: the Materials Project database
Functional: GGA+U
Structure: optimized geometry

Results
* formation enthalpy at 0 K: -3.0303 eV/atom
* size of the total moment: 5.00 μB/f.u.
* symmetry: P321 (150)
* largest piezoelectric modulus: 0.2 C/m2

Lattice parameters (Å, degrees): 8.8177 8.8177 4.7960 90.00 90.00 120.00
Closest atoms and distances in Å follow each position.
Sites, in units of the cell vectors:
Li (0.0000, 0.2984, 0.0000)  6 F 2.03-2.19
Li (0.2984, 0.0000, 0.0000)  6 F 2.03-2.19
Li (0.7016, 0.7016, 0.0000)  6 F 2.03-2.19
Mn (0.0000, 0.6394, 0.5000)  6 F 2.12-2.19
Mn (0.3606, 0.3606, 0.5000)  6 F 2.12-2.19
Mn (0.6394, 0.0000, 0.5000)  6 F 2.12-2.19
Ga (0.0000, 0.0000, 0.5000)  6 F 1.93
Ga (0.3333, 0.6667, 0.0031)  6 F 1.92-1.93
Ga (0.6667, 0.3333, 0.9969)  6 F 1.92-1.93
F (0.0990, 0.8889, 0.2779)  1 Ga 1.93, 1 Li 2.03
F (0.1111, 0.2102, 0.2779)  1 Ga 1.93, 1 Li 2.03
F (0.1255, 0.5465, 0.2289)  1 Ga 1.93, 1 Mn 2.12
F (0.2102, 0.1111, 0.7221)  1 Ga 1.93, 1 Li 2.03
F (0.2236, 0.7671, 0.7819)  1 Ga 1.92, 1 Li 2.10
F (0.2329, 0.4565, 0.7819)  1 Ga 1.92, 1 Li 2.10
F (0.4210, 0.8745, 0.2289)  1 Ga 1.93, 1 Mn 2.12
F (0.4535, 0.5790, 0.2289)  1 Ga 1.93, 1 Mn 2.12
F (0.4565, 0.2329, 0.2181)  1 Ga 1.92, 1 Li 2.10
F (0.5435, 0.7764, 0.7819)  1 Ga 1.92, 1 Li 2.10
F (0.5465, 0.1255, 0.7711)  1 Ga 1.93, 1 Mn 2.12
F (0.5790, 0.4535, 0.7711)  1 Ga 1.93, 1 Mn 2.12
F (0.7671, 0.2236, 0.2181)  1 Ga 1.92, 1 Li 2.10
F (0.7764, 0.5435, 0.2181)  1 Ga 1.92, 1 Li 2.10
F (0.7898, 0.9010, 0.2779)  1 Ga 1.93, 1 Li 2.03
F (0.8745, 0.4210, 0.7711)  1 Ga 1.93, 1 Mn 2.12
F (0.8889, 0.0990, 0.7221)  1 Ga 1.93, 1 Li 2.03
F (0.9010, 0.7898, 0.7221)  1 Ga 1.93, 1 Li 2.03


(3)
Compound: Sr2MnGaO5F
Source: the Materials Project database
Functional: GGA+U
Structure: optimized geometry

Results
* formation enthalpy at 0 K: -2.6747 eV/atom
* size of the total moment: 3.14 μB/f.u.
* symmetry: Pmmm (47)

Lattice parameters (Å, degrees): 3.8823 4.0204 7.7932 90.00 90.00 90.00
Closest atoms and distances in Å follow each position.
Sites, in units of the cell vectors:
Sr (0.0000, 0.0000, 0.2362)  10 O 2.68-2.88, 2 F 2.83
Sr (0.0000, 0.0000, 0.7638)  10 O 2.68-2.88, 2 F 2.83
Mn (0.5000, 0.5000, 0.0000)  6 O 1.94-2.01
Ga (0.5000, 0.5000, 0.5000)  4 O 1.94-1.96, 2 F 2.01
O (0.0000, 0.5000, 0.0000)  2 Mn 1.94
O (0.0000, 0.5000, 0.5000)  2 Ga 1.94
O (0.5000, 0.0000, 0.0000)  2 Mn 2.01
O (0.5000, 0.5000, 0.2488)  1 Mn 1.94, 1 Ga 1.96
O (0.5000, 0.5000, 0.7512)  1 Mn 1.94, 1 Ga 1.96
F (0.5000, 0.0000, 0.5000)  2 Ga 2.01